(1)
The following is a DFT calculation (GGA+U) of a geometry-optimized Li2MnFeP2O8 structure.

CIF file:
```
data_Li2MnFeP2O8
_space_group_name_H-M_alt 'P 1'
_space_group_IT_number 1
_cell_length_a 4.776
_cell_length_b 10.524
_cell_length_c 6.124
_cell_angle_alpha 90.14
_cell_angle_beta 89.95
_cell_angle_gamma 89.99
loop_
_space_group_symop_operation_xyz
'x,y,z'
loop_
_atom_site_label
_atom_site_type_symbol
_atom_site_fract_x
_atom_site_fract_y
_atom_site_fract_z
_atom_site_occupancy
Mn1 Mn 0.980 0.281 0.250 1
O1 O 0.715 0.835 0.544 1
O2 O 0.217 0.667 0.051 1
O3 O 0.211 0.460 0.250 1
O4 O 0.763 0.598 0.251 1
Li1 Li 0.000 0.998 0.999 1
P1 P 0.583 0.904 0.748 1
O5 O 0.792 0.547 0.750 1
O6 O 0.736 0.094 0.249 1
O7 O 0.292 0.953 0.248 1
O8 O 0.781 0.339 0.549 1
O9 O 0.281 0.160 0.452 1
O10 O 0.716 0.832 0.948 1
Mn2 Mn 0.480 0.219 0.750 1
O11 O 0.780 0.340 0.952 1
P2 P 0.914 0.410 0.750 1
O12 O 0.708 0.040 0.751 1
O13 O 0.261 0.902 0.749 1
Li2 Li 0.000 0.997 0.499 1
Fe1 Fe 0.527 0.781 0.248 1
P3 P 0.414 0.090 0.250 1
O14 O 0.281 0.160 0.049 1
Li3 Li 0.501 0.503 0.001 1
Fe2 Fe 0.026 0.719 0.751 1
Li4 Li 0.502 0.503 0.500 1
O15 O 0.216 0.666 0.456 1
O16 O 0.236 0.405 0.751 1
P4 P 0.085 0.596 0.252 1
```

## Properties
ρ: 3394 kg/m³
crystal system: triclinic
ΔE_f: -2.556 eV per atom
energy above the lowest structure with this stoichiometry: 0 meV/atom

(2)
The following is a DFT calculation (GGA+U) of a geometry-optimized Mg14VCoO16 structure.

CIF file:
```
data_Mg14VCoO16
_space_group_name_H-M_alt 'P 1'
_space_group_IT_number 1
_cell_length_a 8.520
_cell_length_b 8.569
_cell_length_c 4.273
_cell_angle_alpha 90.00
_cell_angle_beta 90.00
_cell_angle_gamma 90.00
loop_
_space_group_symop_operation_xyz
'x,y,z'
loop_
_atom_site_label
_atom_site_type_symbol
_atom_site_fract_x
_atom_site_fract_y
_atom_site_fract_z
_atom_site_occupancy
Mg1 Mg 0.500 0.500 0.000 1
O1 O 0.750 0.751 0.500 1
O2 O 0.500 0.500 0.500 1
Mg2 Mg 0.749 0.500 0.500 1
Mg3 Mg 0.500 0.000 0.000 1
O3 O 0.250 0.249 0.500 1
Mg4 Mg 0.500 0.750 0.500 1
Mg5 Mg 0.000 0.249 0.500 1
Mg6 Mg 0.250 0.000 0.500 1
O4 O 0.250 0.751 0.500 1
O5 O 0.500 0.000 0.500 1
O6 O 0.256 0.500 0.000 1
O7 O 0.000 0.249 0.000 1
Mg7 Mg 0.249 0.750 0.000 1
O8 O 0.500 0.751 0.000 1
Mg8 Mg 0.751 0.750 0.000 1
O9 O 0.000 0.000 0.500 1
O10 O 0.000 0.500 0.500 1
Mg9 Mg 0.751 0.250 0.000 1
V1 V 0.000 0.500 0.000 1
Co1 Co 0.000 0.000 0.000 1
O11 O 0.749 0.000 0.000 1
Mg10 Mg 0.500 0.250 0.500 1
O12 O 0.750 0.249 0.500 1
Mg11 Mg 0.000 0.751 0.500 1
O13 O 0.000 0.751 0.000 1
Mg12 Mg 0.249 0.250 0.000 1
O14 O 0.500 0.249 0.000 1
Mg13 Mg 0.251 0.500 0.500 1
O15 O 0.744 0.500 0.000 1
O16 O 0.251 0.000 0.000 1
Mg14 Mg 0.750 0.000 0.500 1
```

## Properties
ρ: 3758 kg/m³
crystal system: orthorhombic
ΔE_f: -2.867 eV per atom
energy above the lowest structure with this stoichiometry: 0 meV/atom

(3)
The following is a DFT calculation (GGA+U) of a geometry-optimized Li6V5O12 structure.

CIF file:
```
data_Li6V5O12
_space_group_name_H-M_alt 'P 1'
_space_group_IT_number 1
_cell_length_a 5.047
_cell_length_b 5.057
_cell_length_c 9.541
_cell_angle_alpha 93.34
_cell_angle_beta 93.68
_cell_angle_gamma 116.14
loop_
_space_group_symop_operation_xyz
'x,y,z'
loop_
_atom_site_label
_atom_site_type_symbol
_atom_site_fract_x
_atom_site_fract_y
_atom_site_fract_z
_atom_site_occupancy
V1 V 0.488 0.996 0.491 1
O1 O 0.176 0.642 0.382 1
O2 O 0.582 0.752 0.632 1
O3 O 0.357 0.840 0.120 1
Li1 Li 0.839 0.654 0.495 1
Li2 Li 0.688 0.869 0.010 1
O4 O 0.820 0.323 0.619 1
Li3 Li 0.348 0.161 0.005 1
Li4 Li 0.754 0.239 0.250 1
Li5 Li 0.079 0.921 0.250 1
O5 O 0.265 0.409 0.867 1
V2 V 0.425 0.577 0.243 1
O6 O 0.211 0.070 0.629 1
O7 O 0.703 0.546 0.137 1
Li6 Li 0.128 0.312 0.491 1
O8 O 0.928 0.782 0.872 1
O9 O 0.748 0.926 0.371 1
V3 V 0.011 0.517 0.000 1
O10 O 0.684 0.173 0.877 1
V4 V 0.572 0.431 0.751 1
V5 V 0.927 0.075 0.747 1
O11 O 0.074 0.253 0.133 1
O12 O 0.453 0.270 0.380 1
```

## Properties
ρ: 3735 kg/m³
crystal system: triclinic
ΔE_f: -2.459 eV per atom
energy above the lowest structure with this stoichiometry: 0 meV/atom

(4)
The following is a DFT calculation (GGA+U) of a geometry-optimized Li2Fe3P4O14 structure.

CIF file:
```
data_Li2Fe3P4O14
_space_group_name_H-M_alt 'P 1'
_space_group_IT_number 1
_cell_length_a 7.743
_cell_length_b 7.663
_cell_length_c 10.958
_cell_angle_alpha 68.93
_cell_angle_beta 90.00
_cell_angle_gamma 90.00
loop_
_space_group_symop_operation_xyz
'x,y,z'
loop_
_atom_site_label
_atom_site_type_symbol
_atom_site_fract_x
_atom_site_fract_y
_atom_site_fract_z
_atom_site_occupancy
P1 P 0.767 0.864 0.785 1
P2 P 0.233 0.136 0.215 1
Li1 Li 0.401 0.760 0.763 1
O1 O 0.107 0.234 0.634 1
Fe1 Fe 0.500 0.000 0.500 1
O2 O 0.492 0.653 0.632 1
O3 O 0.241 0.046 0.860 1
Li2 Li 0.599 0.240 0.237 1
O4 O 0.741 0.954 0.640 1
O5 O 0.863 0.986 0.847 1
P3 P 0.733 0.864 0.285 1
Fe2 Fe 0.701 0.494 0.957 1
Fe3 Fe 0.000 0.000 0.000 1
O6 O 0.607 0.766 0.866 1
O7 O 0.787 0.400 0.136 1
O8 O 0.992 0.347 0.868 1
O9 O 0.759 0.954 0.140 1
O10 O 0.893 0.766 0.366 1
O11 O 0.713 0.400 0.636 1
O12 O 0.363 0.014 0.653 1
P4 P 0.449 0.547 0.301 1
O13 O 0.609 0.668 0.326 1
Fe4 Fe 0.201 0.506 0.543 1
O14 O 0.213 0.600 0.864 1
O15 O 0.637 0.986 0.347 1
O16 O 0.259 0.046 0.360 1
P5 P 0.949 0.453 0.199 1
O17 O 0.287 0.600 0.364 1
O18 O 0.008 0.653 0.132 1
P6 P 0.051 0.547 0.801 1
O19 O 0.391 0.332 0.674 1
O20 O 0.891 0.668 0.826 1
Fe5 Fe 0.299 0.506 0.043 1
O21 O 0.508 0.347 0.368 1
Li3 Li 0.901 0.240 0.737 1
O22 O 0.137 0.014 0.153 1
O23 O 0.926 0.387 0.347 1
O24 O 0.109 0.332 0.174 1
O25 O 0.074 0.613 0.653 1
Fe6 Fe 0.799 0.494 0.457 1
Li4 Li 0.099 0.760 0.263 1
O26 O 0.574 0.387 0.847 1
O27 O 0.393 0.234 0.134 1
P7 P 0.267 0.136 0.715 1
P8 P 0.551 0.453 0.699 1
O28 O 0.426 0.613 0.153 1
```

## Properties
ρ: 2897 kg/m³
crystal system: monoclinic
ΔE_f: -2.375 eV per atom
energy above the lowest structure with this stoichiometry: 101 meV/atom

(5)
The following is a DFT calculation (GGA+U) of a geometry-optimized BeCr2O4 structure.

CIF file:
```
data_BeCr2O4
_space_group_name_H-M_alt 'P 1'
_space_group_IT_number 1
_cell_length_a 4.614
_cell_length_b 5.780
_cell_length_c 9.984
_cell_angle_alpha 90.00
_cell_angle_beta 90.00
_cell_angle_gamma 90.04
loop_
_space_group_symop_operation_xyz
'x,y,z'
loop_
_atom_site_label
_atom_site_type_symbol
_atom_site_fract_x
_atom_site_fract_y
_atom_site_fract_z
_atom_site_occupancy
O1 O 0.726 0.250 0.593 1
O2 O 0.240 0.025 0.663 1
Cr1 Cr 0.497 0.749 0.231 1
O3 O 0.227 0.250 0.440 1
O4 O 0.739 0.975 0.837 1
O5 O 0.273 0.250 0.940 1
O6 O 0.774 0.250 0.093 1
O7 O 0.274 0.750 0.407 1
O8 O 0.261 0.025 0.163 1
O9 O 0.239 0.475 0.663 1
O10 O 0.740 0.525 0.837 1
Cr2 Cr 0.503 0.251 0.769 1
Cr3 Cr 0.500 0.500 0.500 1
O11 O 0.260 0.475 0.163 1
Be1 Be 0.430 0.250 0.093 1
Be2 Be 0.930 0.750 0.407 1
Cr4 Cr 0.000 0.000 0.000 1
O12 O 0.773 0.750 0.560 1
O13 O 0.760 0.975 0.337 1
Cr5 Cr 0.003 0.751 0.731 1
Cr6 Cr 0.500 0.000 0.500 1
O14 O 0.727 0.750 0.060 1
O15 O 0.761 0.525 0.337 1
Cr7 Cr 0.000 0.500 0.000 1
O16 O 0.226 0.750 0.907 1
Be3 Be 0.570 0.750 0.907 1
Be4 Be 0.070 0.250 0.593 1
Cr8 Cr 0.997 0.249 0.269 1
```

## Properties
ρ: 4415 kg/m³
crystal system: orthorhombic
ΔE_f: -2.600 eV per atom

Q: Number 4 is which compound?
A: Li2Fe3P4O14

Q: Which value of ρ does entry 3 give?
A: 3735 kg/m³

Q: What is the formula in the second record?
A: Mg14VCoO16

Repeat the first record exactly.
The following is a DFT calculation (GGA+U) of a geometry-optimized Li2MnFeP2O8 structure.

CIF file:
```
data_Li2MnFeP2O8
_space_group_name_H-M_alt 'P 1'
_space_group_IT_number 1
_cell_length_a 4.776
_cell_length_b 10.524
_cell_length_c 6.124
_cell_angle_alpha 90.14
_cell_angle_beta 89.95
_cell_angle_gamma 89.99
loop_
_space_group_symop_operation_xyz
'x,y,z'
loop_
_atom_site_label
_atom_site_type_symbol
_atom_site_fract_x
_atom_site_fract_y
_atom_site_fract_z
_atom_site_occupancy
Mn1 Mn 0.980 0.281 0.250 1
O1 O 0.715 0.835 0.544 1
O2 O 0.217 0.667 0.051 1
O3 O 0.211 0.460 0.250 1
O4 O 0.763 0.598 0.251 1
Li1 Li 0.000 0.998 0.999 1
P1 P 0.583 0.904 0.748 1
O5 O 0.792 0.547 0.750 1
O6 O 0.736 0.094 0.249 1
O7 O 0.292 0.953 0.248 1
O8 O 0.781 0.339 0.549 1
O9 O 0.281 0.160 0.452 1
O10 O 0.716 0.832 0.948 1
Mn2 Mn 0.480 0.219 0.750 1
O11 O 0.780 0.340 0.952 1
P2 P 0.914 0.410 0.750 1
O12 O 0.708 0.040 0.751 1
O13 O 0.261 0.902 0.749 1
Li2 Li 0.000 0.997 0.499 1
Fe1 Fe 0.527 0.781 0.248 1
P3 P 0.414 0.090 0.250 1
O14 O 0.281 0.160 0.049 1
Li3 Li 0.501 0.503 0.001 1
Fe2 Fe 0.026 0.719 0.751 1
Li4 Li 0.502 0.503 0.500 1
O15 O 0.216 0.666 0.456 1
O16 O 0.236 0.405 0.751 1
P4 P 0.085 0.596 0.252 1
```

## Properties
ρ: 3394 kg/m³
crystal system: triclinic
ΔE_f: -2.556 eV per atom
energy above the lowest structure with this stoichiometry: 0 meV/atom